Record 1
K5Mo8AsH6O32 GGA+U relaxed; magnetization = 0.00 μB per formula unit; calculated total energy = -656.29 eV per cell
1.0
4.233 -11.780 0.000
4.233 11.780 0.000
0.000 0.000 15.600
K Mo As H O
10 16 2 12 64
direct
0.117 0.883 0.750 K
0.121 0.879 0.033 K
0.121 0.879 0.467 K
0.363 0.634 0.525 K
0.366 0.637 0.975 K
0.634 0.363 0.475 K
0.637 0.366 0.025 K
0.879 0.121 0.533 K
0.879 0.121 0.967 K
0.883 0.117 0.250 K
0.071 0.545 0.359 Mo
0.072 0.545 0.140 Mo
0.291 0.310 0.146 Mo
0.291 0.310 0.354 Mo
0.310 0.291 0.646 Mo
0.310 0.291 0.854 Mo
0.455 0.928 0.360 Mo
0.455 0.929 0.141 Mo
0.545 0.071 0.641 Mo
0.545 0.072 0.860 Mo
0.690 0.709 0.146 Mo
0.690 0.709 0.354 Mo
0.709 0.690 0.646 Mo
0.709 0.690 0.854 Mo
0.928 0.455 0.640 Mo
0.929 0.455 0.859 Mo
0.377 0.623 0.250 As
0.623 0.377 0.750 As
0.001 0.179 0.750 H
0.179 0.001 0.250 H
0.189 0.811 0.250 H
0.268 0.570 0.775 H
0.430 0.732 0.725 H
0.439 0.561 0.750 H
0.561 0.439 0.250 H
0.570 0.268 0.225 H
0.732 0.430 0.275 H
0.811 0.189 0.750 H
0.821 0.999 0.750 H
0.999 0.821 0.250 H
0.012 0.399 0.429 O
0.013 0.398 0.071 O
0.020 0.438 0.250 O
0.085 0.480 0.633 O
0.090 0.483 0.863 O
0.115 0.222 0.408 O
0.115 0.885 0.250 O
0.116 0.222 0.092 O
0.173 0.194 0.750 O
0.194 0.173 0.250 O
0.222 0.115 0.592 O
0.222 0.116 0.908 O
0.231 0.769 0.250 O
0.233 0.345 0.595 O
0.233 0.347 0.904 O
0.243 0.754 0.423 O
0.246 0.757 0.077 O
0.251 0.414 0.250 O
0.333 0.665 0.339 O
0.335 0.667 0.161 O
0.345 0.233 0.405 O
0.347 0.233 0.096 O
0.373 0.627 0.750 O
0.398 0.013 0.929 O
0.399 0.012 0.571 O
0.414 0.251 0.750 O
0.438 0.020 0.750 O
0.461 0.539 0.103 O
0.461 0.539 0.397 O
0.480 0.085 0.367 O
0.482 0.518 0.750 O
0.483 0.090 0.137 O
0.517 0.910 0.637 O
0.518 0.482 0.250 O
0.520 0.915 0.867 O
0.539 0.461 0.603 O
0.539 0.461 0.897 O
0.562 0.980 0.250 O
0.586 0.749 0.250 O
0.601 0.988 0.071 O
0.602 0.987 0.429 O
0.627 0.373 0.250 O
0.653 0.767 0.596 O
0.655 0.767 0.905 O
0.665 0.333 0.661 O
0.667 0.335 0.839 O
0.749 0.586 0.750 O
0.754 0.243 0.577 O
0.757 0.246 0.923 O
0.767 0.653 0.404 O
0.767 0.655 0.095 O
0.769 0.231 0.750 O
0.778 0.884 0.408 O
0.778 0.885 0.092 O
0.806 0.827 0.750 O
0.827 0.806 0.250 O
0.884 0.778 0.592 O
0.885 0.115 0.750 O
0.885 0.778 0.908 O
0.910 0.517 0.363 O
0.915 0.520 0.133 O
0.980 0.562 0.750 O
0.987 0.602 0.571 O
0.988 0.601 0.929 O

---

Record 2
La6Mo8O33 GGA+U relaxed; magnetization = 0.00 μB per formula unit; calculated total energy = -716.86 eV per cell
1.0
10.875 0.000 0.000
0.000 12.152 0.000
-5.247 0.000 10.738
La Mo O
12 16 66
direct
0.053 0.000 0.342 La
0.160 0.498 0.115 La
0.195 0.754 0.634 La
0.282 0.007 0.891 La
0.324 0.254 0.387 La
0.432 0.750 0.124 La
0.568 0.250 0.876 La
0.676 0.754 0.613 La
0.718 0.507 0.109 La
0.805 0.254 0.366 La
0.840 0.998 0.885 La
0.947 0.500 0.658 La
0.064 0.783 0.875 Mo
0.073 0.492 0.398 Mo
0.176 0.243 0.623 Mo
0.182 0.009 0.128 Mo
0.303 0.746 0.369 Mo
0.330 0.512 0.882 Mo
0.435 0.265 0.124 Mo
0.436 0.002 0.636 Mo
0.564 0.502 0.364 Mo
0.565 0.765 0.876 Mo
0.670 0.012 0.118 Mo
0.697 0.246 0.631 Mo
0.818 0.509 0.872 Mo
0.824 0.743 0.377 Mo
0.927 0.992 0.602 Mo
0.936 0.283 0.125 Mo
0.005 0.983 0.106 O
0.018 0.328 0.559 O
0.053 0.688 0.746 O
0.067 0.574 0.525 O
0.073 0.700 0.998 O
0.080 0.942 0.932 O
0.089 0.918 0.691 O
0.105 0.570 0.288 O
0.125 0.324 0.206 O
0.156 0.145 0.726 O
0.162 0.838 0.305 O
0.180 0.434 0.793 O
0.185 0.166 0.497 O
0.209 0.396 0.464 O
0.220 0.112 0.039 O
0.226 0.075 0.280 O
0.255 0.809 0.922 O
0.276 0.927 0.553 O
0.292 0.681 0.499 O
0.295 0.359 0.056 O
0.306 0.901 0.160 O
0.308 0.579 0.008 O
0.312 0.661 0.242 O
0.336 0.614 0.777 O
0.338 0.306 0.709 O
0.406 0.424 0.312 O
0.409 0.847 0.800 O
0.427 0.196 0.251 O
0.428 0.076 0.764 O
0.441 0.182 0.996 O
0.447 0.100 0.531 O
0.459 0.822 0.435 O
0.489 0.432 0.943 O
0.511 0.932 0.057 O
0.541 0.322 0.565 O
0.553 0.600 0.469 O
0.559 0.682 0.004 O
0.572 0.576 0.236 O
0.573 0.696 0.749 O
0.591 0.347 0.200 O
0.594 0.924 0.688 O
0.662 0.806 0.291 O
0.664 0.114 0.223 O
0.688 0.161 0.758 O
0.692 0.079 0.992 O
0.694 0.401 0.840 O
0.705 0.859 0.944 O
0.708 0.181 0.501 O
0.724 0.427 0.447 O
0.745 0.309 0.078 O
0.774 0.575 0.720 O
0.780 0.612 0.961 O
0.791 0.896 0.536 O
0.815 0.666 0.503 O
0.820 0.934 0.207 O
0.838 0.338 0.695 O
0.844 0.645 0.274 O
0.875 0.824 0.794 O
0.895 0.070 0.712 O
0.911 0.418 0.309 O
0.920 0.442 0.068 O
0.927 0.200 0.002 O
0.933 0.074 0.475 O
0.947 0.188 0.254 O
0.982 0.828 0.441 O
0.995 0.483 0.894 O

---

Record 3
MgW4O12 GGA+U relaxed; distance to the lowest polymorph of the same formula = 33 meV per atom; magnetization = 2.00 μB per formula unit; calculated total energy = -124.32 eV per cell
1.0
3.906 0.000 0.000
-0.183 7.630 0.000
-0.021 -0.016 7.735
Mg W O
1 4 12
direct
0.000 0.000 0.000 Mg
0.415 0.297 0.754 W
0.443 0.290 0.262 W
0.468 0.797 0.754 W
0.470 0.787 0.260 W
0.385 0.226 0.012 O
0.420 0.348 0.496 O
0.441 0.048 0.307 O
0.443 0.557 0.798 O
0.444 0.550 0.203 O
0.456 0.049 0.705 O
0.469 0.751 0.495 O
0.477 0.874 0.014 O
0.926 0.297 0.245 O
0.926 0.300 0.764 O
0.963 0.817 0.234 O
0.965 0.834 0.790 O

---

| no. | energy relative to the elements (eV/atom) |
| --- | --- |
| 1 | -1.925 |
| 2 | -2.703 |
| 3 | -2.207 |